No. 1
The following is a DFT calculation (PBE) of NaCu2O2 after structural relaxation.

Energy above the lowest structure with this stoichiometry = 0.0 kJ/mol of atoms
Calculated volume = 12.29 Å³/atom
ΔE_f = -1.1264 eV/atom

a = 6.200 Å, b = 2.981 Å, c = 13.296 Å
α = 90.00°, β = 90.00°, γ = 90.00°
Space group Pnma (No. 62)
Asymmetric unit:
Na: 0.149 0.250 0.078 [4 per cell]
Cu: 0.114 0.250 0.758 [4 per cell]
Cu: 0.134 0.250 0.387 [4 per cell]
O: 0.079 0.250 0.620 [4 per cell]
O: 0.148 0.250 0.897 [4 per cell]

No. 2
The following is a DFT calculation (PBE) of ThInAg2 after structural relaxation.

Calculated volume = 23.98 Å³/atom
ΔE_f = -0.2251 eV/atom

a = 7.267 Å, b = 7.267 Å, c = 7.267 Å
α = 90.00°, β = 90.00°, γ = 90.00°
Space group Fm-3m (No. 225)
Asymmetric unit:
Th: 0.000 0.000 0.000 [4 per cell]
In: 0.000 0.000 0.500 [4 per cell]
Ag: 0.250 0.250 0.250 [8 per cell]

No. 3
The following is a DFT calculation (PBE) of PmBr2 after structural relaxation.

Calculated volume = 35.04 Å³/atom
ΔE_f = -1.9657 eV/atom

a = 7.481 Å, b = 7.481 Å, c = 3.757 Å
α = 90.00°, β = 90.00°, γ = 90.00°
Space group P4_2/mnm (No. 136)
Asymmetric unit:
Pm: 0.000 0.000 0.000 [2 per cell]
Br: 0.218 0.218 0.500 [4 per cell]

No. 4
The following is a DFT calculation (PBE) of AlCo3 after structural relaxation.

Calculated volume = 11.39 Å³/atom
M_tot = 3.698 μB per formula unit
ΔE_f = -0.2059 eV/atom

a = 5.0744 Å, b = 5.0744 Å, c = 4.0856 Å
α = 90.00°, β = 90.00°, γ = 120.00°
Space group P6_3/mmc (No. 194)
Asymmetric unit:
Al: 0.3333 0.6667 0.2500 [2 per cell]
Co: 0.1649 0.3297 0.7500 [6 per cell]

No. 5
The following is a DFT calculation (PBE) of CsK2AlBr6 after structural relaxation.

Calculated volume = 40.64 Å³/atom
M_tot = 0.000 μB per formula unit
ΔE_f = -1.7303 eV/atom

a = 11.758 Å, b = 11.758 Å, c = 11.758 Å
α = 90.00°, β = 90.00°, γ = 90.00°
Space group Fm-3m (No. 225)
Asymmetric unit:
Cs: 0.000 0.000 0.000 [4 per cell]
K: 0.250 0.250 0.250 [8 per cell]
Al: 0.000 0.000 0.500 [4 per cell]
Br: 0.000 0.000 0.286 [24 per cell]

No. 6
The following is a DFT calculation (PBE) of PmPuAu2 after structural relaxation.

Calculated volume = 24.94 Å³/atom
ΔE_f = -0.6008 eV/atom

a = 7.362 Å, b = 7.362 Å, c = 7.362 Å
α = 90.00°, β = 90.00°, γ = 90.00°
Space group Fm-3m (No. 225)
Asymmetric unit:
Pm: 0.000 0.000 0.000 [4 per cell]
Pu: 0.000 0.000 0.500 [4 per cell]
Au: 0.250 0.250 0.250 [8 per cell]

No. 7
The following is a DFT calculation (PBE) of Ac2Mg after structural relaxation.

Energy above the lowest structure with this stoichiometry = 0.0 kJ/mol of atoms
Calculated volume = 38.75 Å³/atom
ΔE_f = -0.0298 eV/atom

a = 14.561 Å, b = 4.073 Å, c = 8.165 Å
α = 90.00°, β = 106.19°, γ = 90.00°
Space group C2/m (No. 12)
Asymmetric unit:
Ac: 0.149 0.000 0.070 [4 per cell]
Ac: 0.157 0.000 0.582 [4 per cell]
Mg: 0.003 0.500 0.262 [4 per cell]

No. 8
The following is a DFT calculation (PBE) of CsNb2Si8O24 after structural relaxation.

Calculated volume = 18.62 Å³/atom
M_tot = 5.009 μB per formula unit
ΔE_f = -2.7926 eV/atom

a = 7.586 Å, b = 9.139 Å, c = 9.906 Å
α = 89.86°, β = 71.63°, γ = 89.03°
Space group P-1 (No. 2)
Asymmetric unit:
Cs: 0.000 0.000 0.000 [1 per cell]
Nb: 0.087 0.254 0.596 [2 per cell]
Si: 0.264 0.998 0.308 [2 per cell]
Si: 0.277 0.496 0.310 [2 per cell]
Si: 0.420 0.246 0.082 [2 per cell]
Si: 0.435 0.252 0.761 [2 per cell]
O: 0.014 0.774 0.575 [2 per cell]
O: 0.087 0.899 0.306 [2 per cell]
O: 0.094 0.596 0.315 [2 per cell]
O: 0.224 0.095 0.454 [2 per cell]
O: 0.233 0.398 0.455 [2 per cell]
O: 0.248 0.246 0.713 [2 per cell]
O: 0.311 0.101 0.166 [2 per cell]
O: 0.329 0.396 0.167 [2 per cell]
O: 0.362 0.777 0.938 [2 per cell]
O: 0.366 0.251 0.934 [2 per cell]
O: 0.443 0.894 0.301 [2 per cell]
O: 0.451 0.602 0.302 [2 per cell]

No. 9
The following is a DFT calculation (PBE) of Tb5Ge10Rh4 after structural relaxation.

Calculated volume = 19.53 Å³/atom
ΔE_f = -0.8107 eV/atom

a = 13.098 Å, b = 13.098 Å, c = 4.325 Å
α = 90.00°, β = 90.00°, γ = 90.00°
Space group P4/mbm (No. 127)
Asymmetric unit:
Tb: 0.000 0.000 0.000 [2 per cell]
Tb: 0.114 0.386 0.500 [4 per cell]
Tb: 0.176 0.676 0.500 [4 per cell]
Ge: 0.003 0.840 0.500 [8 per cell]
Ge: 0.066 0.566 0.000 [4 per cell]
Ge: 0.161 0.200 0.000 [8 per cell]
Rh: 0.022 0.754 0.000 [8 per cell]

No. 10
The following is a DFT calculation (PBE) of NpTe3 after structural relaxation.

Calculated volume = 32.47 Å³/atom
M_tot = 4.549 μB per formula unit
ΔE_f = -0.5207 eV/atom

a = 4.059 Å, b = 28.432 Å, c = 4.502 Å
α = 90.00°, β = 90.00°, γ = 90.00°
Space group Cmcm (No. 63)
Asymmetric unit:
Np: 0.000 0.041 0.250 [4 per cell]
Te: 0.000 0.160 0.250 [4 per cell]
Te: 0.000 0.314 0.250 [4 per cell]
Te: 0.000 0.443 0.250 [4 per cell]

No. 11
The following is a DFT calculation (PBE) of TbSi2Ni2 after structural relaxation.

Calculated volume = 15.06 Å³/atom
ΔE_f = -0.8566 eV/atom

a = 3.977 Å, b = 3.977 Å, c = 9.517 Å
α = 90.00°, β = 90.00°, γ = 90.00°
Space group I4/mmm (No. 139)
Asymmetric unit:
Tb: 0.000 0.000 0.000 [2 per cell]
Si: 0.000 0.000 0.373 [4 per cell]
Ni: 0.000 0.500 0.250 [4 per cell]

No. 12
The following is a DFT calculation (PBE) of EuSiPt2 after structural relaxation.

Calculated volume = 19.70 Å³/atom
ΔE_f = -1.0464 eV/atom

a = 4.139 Å, b = 18.254 Å, c = 4.172 Å
α = 90.00°, β = 90.00°, γ = 90.00°
Space group Cmcm (No. 63)
Asymmetric unit:
Eu: 0.000 0.099 0.250 [4 per cell]
Si: 0.000 0.324 0.250 [4 per cell]
Pt: 0.000 0.249 0.750 [4 per cell]
Pt: 0.000 0.453 0.250 [4 per cell]

Which of these has the lowest ΔE_f?
CsNb2Si8O24

Among the records above, which one has the highest ΔE_f?
Ac2Mg

The lowest ΔE_f belongs to which entry?
CsNb2Si8O24